This record from the Materials Project describes a relaxed Zr6MnBi2 crystal. The functional is meta-GGA r2SCAN.

Cell and atoms, written as POSCAR:
```
Zr6MnBi2
1.0
7.852 0.000 0.000
-3.926 6.800 0.000
0.000 0.000 3.840
Zr Mn Bi
6 1 2
Direct
0.000 0.393 0.000 Zr
0.000 0.762 0.500 Zr
0.238 0.238 0.500 Zr
0.393 0.000 0.000 Zr
0.607 0.607 0.000 Zr
0.762 0.000 0.500 Zr
0.000 0.000 0.000 Mn
0.333 0.667 0.500 Bi
0.667 0.333 0.500 Bi
```

Raw total energy ... -30.15 eV per atom

***

This record from the Materials Project describes a relaxed Bi14MoO24 crystal. The functional is meta-GGA r2SCAN.

Cell and atoms, written as POSCAR:
```
Bi14MoO24
1.0
8.715 0.000 0.000
0.040 8.742 0.000
4.334 4.309 8.595
Bi Mo O
14 1 24
Direct
0.000 0.000 0.000 Bi
0.019 0.492 0.665 Bi
0.114 0.938 0.351 Bi
0.191 0.408 0.998 Bi
0.249 0.833 0.664 Bi
0.335 0.336 0.328 Bi
0.407 0.812 0.004 Bi
0.527 0.749 0.322 Bi
0.593 0.220 0.000 Bi
0.672 0.720 0.670 Bi
0.744 0.150 0.326 Bi
0.807 0.621 0.986 Bi
0.903 0.064 0.670 Bi
0.934 0.559 0.323 Bi
0.476 0.307 0.636 Mo
0.008 0.876 0.826 O
0.069 0.578 0.820 O
0.084 0.399 0.424 O
0.134 0.775 0.173 O
0.164 0.035 0.510 O
0.224 0.731 0.510 O
0.261 0.219 0.700 O
0.286 0.271 0.173 O
0.350 0.652 0.908 O
0.463 0.948 0.165 O
0.468 0.609 0.159 O
0.483 0.473 0.690 O
0.577 0.396 0.431 O
0.584 0.904 0.422 O
0.587 0.150 0.709 O
0.639 0.279 0.156 O
0.705 0.821 0.829 O
0.761 0.516 0.822 O
0.796 0.782 0.150 O
0.844 0.158 0.906 O
0.862 0.983 0.509 O
0.916 0.675 0.510 O
0.961 0.095 0.177 O
0.974 0.461 0.150 O
```

Raw total energy ... -26.77 eV per atom

***

This record from the Materials Project describes a relaxed Pr2BiN crystal. The functional is meta-GGA r2SCAN.

Cell and atoms, written as POSCAR:
```
Pr2BiN
1.0
4.769 0.000 0.000
0.000 4.769 0.000
0.000 0.000 9.485
Pr Bi N
4 2 2
Direct
0.250 0.250 0.175 Pr
0.250 0.750 0.500 Pr
0.750 0.250 0.500 Pr
0.750 0.750 0.825 Pr
0.250 0.250 0.805 Bi
0.750 0.750 0.195 Bi
0.250 0.250 0.417 N
0.750 0.750 0.583 N
```

Raw total energy ... -32.98 eV per atom

***

This record from the Materials Project describes a relaxed Sr3BiN crystal. The functional is meta-GGA r2SCAN.

Cell and atoms, written as POSCAR:
```
Sr3BiN
1.0
5.235 0.000 0.000
0.000 5.235 0.000
0.000 0.000 5.235
Sr Bi N
3 1 1
Direct
0.000 0.000 0.500 Sr
0.000 0.500 0.000 Sr
0.500 0.000 0.000 Sr
0.500 0.500 0.500 Bi
0.000 0.000 0.000 N
```

Raw total energy ... -23.66 eV per atom

***

This record from the Materials Project describes a relaxed NaNb4Bi5O18 crystal. The functional is meta-GGA r2SCAN.

Cell and atoms, written as POSCAR:
```
NaNb4Bi5O18
1.0
2.748 -12.519 0.000
2.748 12.519 0.000
-0.062 0.000 5.550
Na Nb Bi O
1 4 5 18
Direct
0.000 0.000 0.000 Na
0.092 0.925 0.470 Nb
0.420 0.588 0.974 Nb
0.588 0.420 0.974 Nb
0.925 0.092 0.470 Nb
0.190 0.790 0.038 Bi
0.346 0.745 0.539 Bi
0.498 0.498 0.518 Bi
0.745 0.346 0.539 Bi
0.790 0.190 0.038 Bi
0.003 0.503 0.259 O
0.030 0.528 0.761 O
0.099 0.099 0.421 O
0.099 0.785 0.455 O
0.124 0.306 0.148 O
0.242 0.413 0.637 O
0.306 0.124 0.148 O
0.413 0.242 0.637 O
0.435 0.748 0.936 O
0.438 0.438 0.916 O
0.503 0.003 0.259 O
0.528 0.030 0.761 O
0.660 0.791 0.233 O
0.742 0.869 0.729 O
0.748 0.435 0.936 O
0.785 0.099 0.455 O
0.791 0.660 0.233 O
0.869 0.742 0.729 O
```

Raw total energy ... -20.10 eV per atom

***

This record from the Materials Project describes a relaxed Na2BiO3 crystal. The functional is meta-GGA r2SCAN.

Cell and atoms, written as POSCAR:
```
Na2BiO3
1.0
0.000 4.813 10.157
3.353 0.000 10.157
3.353 4.813 0.000
Na Bi O
8 4 12
Direct
0.000 0.000 0.000 Na
0.084 0.084 0.416 Na
0.160 0.160 0.840 Na
0.250 0.250 0.250 Na
0.329 0.329 0.671 Na
0.410 0.410 0.090 Na
0.579 0.579 0.921 Na
0.834 0.834 0.166 Na
0.497 0.497 0.503 Bi
0.665 0.665 0.335 Bi
0.747 0.747 0.753 Bi
0.915 0.915 0.585 Bi
0.064 0.612 0.441 O
0.140 0.693 0.804 O
0.223 0.754 0.284 O
0.367 0.809 0.638 O
0.446 0.887 0.110 O
0.511 0.966 0.496 O
0.612 0.064 0.883 O
0.693 0.140 0.363 O
0.754 0.223 0.739 O
0.809 0.367 0.186 O
0.887 0.446 0.557 O
0.966 0.511 0.027 O
```

Raw total energy ... -15.46 eV per atom

***

This record from the Materials Project describes a relaxed Na2BiO3 crystal. The functional is meta-GGA r2SCAN.

Cell and atoms, written as POSCAR:
```
Na2BiO3
1.0
2.968 -4.958 0.000
2.968 4.958 0.000
-2.078 0.000 5.404
Na Bi O
4 2 6
Direct
0.082 0.918 0.750 Na
0.244 0.756 0.250 Na
0.756 0.244 0.750 Na
0.918 0.082 0.250 Na
0.408 0.592 0.750 Bi
0.592 0.408 0.250 Bi
0.000 0.500 0.500 O
0.215 0.353 0.000 O
0.353 0.215 0.500 O
0.500 0.000 0.000 O
0.647 0.785 0.500 O
0.785 0.647 0.000 O
```

Raw total energy ... -15.46 eV per atom

***

This record from the Materials Project describes a relaxed Na3BiO3 crystal. The functional is meta-GGA r2SCAN.

Cell and atoms, written as POSCAR:
```
Na3BiO3
1.0
-4.796 4.796 4.796
4.796 -4.796 4.796
4.796 4.796 -4.796
Na Bi O
12 4 12
Direct
0.000 0.279 0.525 Na
0.000 0.525 0.279 Na
0.246 0.721 0.721 Na
0.279 0.000 0.525 Na
0.279 0.525 0.000 Na
0.475 0.475 0.754 Na
0.475 0.754 0.475 Na
0.525 0.000 0.279 Na
0.525 0.279 0.000 Na
0.721 0.246 0.721 Na
0.721 0.721 0.246 Na
0.754 0.475 0.475 Na
0.000 0.000 0.716 Bi
0.000 0.716 0.000 Bi
0.284 0.284 0.284 Bi
0.716 0.000 0.000 Bi
0.000 0.514 0.771 O
0.000 0.771 0.514 O
0.229 0.229 0.744 O
0.229 0.744 0.229 O
0.256 0.486 0.486 O
0.486 0.256 0.486 O
0.486 0.486 0.256 O
0.514 0.000 0.771 O
0.514 0.771 0.000 O
0.744 0.229 0.229 O
0.771 0.000 0.514 O
0.771 0.514 0.000 O
```

Raw total energy ... -14.02 eV per atom

***

This record from the Materials Project describes a relaxed Na4Bi2O5 crystal. The functional is meta-GGA r2SCAN.

Cell and atoms, written as POSCAR:
```
Na4Bi2O5
1.0
5.025 0.000 0.000
-2.480 8.374 0.000
-2.449 -2.903 8.058
Na Bi O
8 4 10
Direct
0.094 0.005 0.175 Na
0.108 0.702 0.538 Na
0.128 0.380 0.874 Na
0.378 0.796 0.952 Na
0.622 0.204 0.048 Na
0.872 0.620 0.126 Na
0.892 0.298 0.462 Na
0.906 0.995 0.825 Na
0.357 0.438 0.267 Bi
0.386 0.125 0.630 Bi
0.614 0.875 0.370 Bi
0.643 0.562 0.733 Bi
0.141 0.224 0.059 O
0.196 0.877 0.380 O
0.207 0.545 0.706 O
0.357 0.974 0.774 O
0.367 0.620 0.144 O
0.633 0.380 0.856 O
0.643 0.026 0.226 O
0.793 0.455 0.294 O
0.804 0.123 0.620 O
0.859 0.776 0.941 O
```

Raw total energy ... -16.19 eV per atom

***

This record from the Materials Project describes a relaxed Na2BiO3 crystal. The functional is meta-GGA r2SCAN.

Cell and atoms, written as POSCAR:
```
Na2BiO3
1.0
2.948 -5.094 0.000
2.948 5.094 0.000
-1.865 0.000 10.958
Na Bi O
8 4 12
Direct
0.000 0.500 0.500 Na
0.084 0.916 0.750 Na
0.151 0.321 0.001 Na
0.321 0.151 0.501 Na
0.500 0.000 0.000 Na
0.679 0.849 0.499 Na
0.849 0.679 0.999 Na
0.916 0.084 0.250 Na
0.249 0.751 0.250 Bi
0.418 0.582 0.750 Bi
0.582 0.418 0.250 Bi
0.751 0.249 0.750 Bi
0.019 0.221 0.637 O
0.090 0.579 0.859 O
0.221 0.019 0.137 O
0.297 0.495 0.364 O
0.421 0.910 0.641 O
0.495 0.297 0.864 O
0.505 0.703 0.136 O
0.579 0.090 0.359 O
0.703 0.505 0.636 O
0.779 0.981 0.863 O
0.910 0.421 0.141 O
0.981 0.779 0.363 O
```

Raw total energy ... -15.46 eV per atom

***

This record from the Materials Project describes a relaxed NaBiSe2 crystal. The functional is meta-GGA r2SCAN.

Cell and atoms, written as POSCAR:
```
NaBiSe2
1.0
2.098 1.211 7.050
-2.098 1.211 7.050
0.000 -2.422 7.050
Na Bi Se
1 1 2
Direct
0.000 0.000 0.000 Na
0.500 0.500 0.500 Bi
0.247 0.247 0.247 Se
0.753 0.753 0.753 Se
```

Raw total energy ... -23.53 eV per atom

***

This record from the Materials Project describes a relaxed NaBiTe2 crystal. The functional is meta-GGA r2SCAN.

Cell and atoms, written as POSCAR:
```
NaBiTe2
1.0
2.241 1.294 7.585
-2.241 1.294 7.585
0.000 -2.587 7.585
Na Bi Te
1 1 2
Direct
0.000 0.000 0.000 Na
0.500 0.500 0.500 Bi
0.246 0.246 0.246 Te
0.754 0.754 0.754 Te
```

Raw total energy ... -28.88 eV per atom

***

Copy entry 3 word for word.
This record from the Materials Project describes a relaxed Pr2BiN crystal. The functional is meta-GGA r2SCAN.

Cell and atoms, written as POSCAR:
```
Pr2BiN
1.0
4.769 0.000 0.000
0.000 4.769 0.000
0.000 0.000 9.485
Pr Bi N
4 2 2
Direct
0.250 0.250 0.175 Pr
0.250 0.750 0.500 Pr
0.750 0.250 0.500 Pr
0.750 0.750 0.825 Pr
0.250 0.250 0.805 Bi
0.750 0.750 0.195 Bi
0.250 0.250 0.417 N
0.750 0.750 0.583 N
```

Raw total energy ... -32.98 eV per atom

***

Which value of raw total energy does entry 5 give? -20.10 eV per atom

***

Which of these has the lowest raw total energy? Pr2BiN

***

Number 9 is which compound? Na4Bi2O5